1.
# NaCaGe3P3S3O24

Crystalline NaCaGe3P3S3O24 at its relaxed geometry (GGA-PBE, the Materials Project).

Cell: 8.513 8.529 22.183 Å, 89.76 89.44 60.18°
Sites, in units of the cell vectors:
Na 0.000 0.000 0.000
Na 0.020 0.976 0.498
Na 0.346 0.307 0.826
Ca 0.004 0.994 0.847
Ca 0.012 0.977 0.352
Ca 0.341 0.313 0.980
Ge 0.330 0.318 0.177
Ge 0.339 0.315 0.676
Ge 0.343 0.329 0.481
Ge 0.669 0.655 0.527
Ge 0.677 0.650 0.312
Ge 0.682 0.653 0.801
Ge 0.682 0.654 0.025
Ge 0.996 0.986 0.153
Ge 0.996 0.996 0.644
P 0.013 0.676 0.248
P 0.014 0.284 0.744
P 0.038 0.310 0.082
P 0.052 0.614 0.580
P 0.334 0.036 0.579
P 0.407 0.636 0.420
P 0.630 0.317 0.580
P 0.644 0.022 0.082
P 0.703 0.995 0.744
S 0.310 0.683 0.743
S 0.312 0.987 0.246
S 0.337 0.626 0.083
S 0.406 0.920 0.914
S 0.655 0.945 0.420
S 0.674 0.386 0.914
S 0.696 0.291 0.247
S 0.951 0.653 0.914
S 0.967 0.380 0.420
O 0.015 0.145 0.100
O 0.033 0.803 0.590
O 0.061 0.740 0.304
O 0.065 0.180 0.801
O 0.126 0.488 0.912
O 0.130 0.356 0.134
O 0.137 0.489 0.634
O 0.141 0.259 0.024
O 0.145 0.374 0.424
O 0.165 0.013 0.588
O 0.173 0.320 0.730
O 0.174 0.490 0.229
O 0.177 0.537 0.523
O 0.181 0.809 0.097
O 0.204 0.031 0.301
O 0.207 0.744 0.799
O 0.221 0.800 0.418
O 0.225 0.806 0.691
O 0.226 0.949 0.194
O 0.230 0.929 0.916
O 0.289 0.164 0.523
O 0.294 0.567 0.028
O 0.334 0.500 0.732
O 0.340 0.142 0.233
O 0.375 0.115 0.634
O 0.375 0.500 0.135
O 0.396 0.096 0.911
O 0.405 0.454 0.425
O 0.480 0.116 0.425
O 0.495 0.662 0.749
O 0.495 0.822 0.254
O 0.497 0.828 0.972
O 0.501 0.646 0.078
O 0.501 0.662 0.475
O 0.501 0.827 0.856
O 0.504 0.848 0.571
O 0.505 0.358 0.635
O 0.507 0.377 0.913
O 0.509 0.120 0.136
O 0.514 0.158 0.730
O 0.518 0.315 0.231
O 0.518 0.612 0.359
O 0.553 0.269 0.524
O 0.592 0.127 0.024
O 0.637 0.862 0.362
O 0.654 0.484 0.573
O 0.658 0.832 0.077
O 0.674 0.479 0.972
O 0.675 0.478 0.857
O 0.680 0.474 0.253
O 0.681 0.823 0.750
O 0.692 0.826 0.473
O 0.760 0.040 0.802
O 0.763 0.184 0.301
O 0.808 0.977 0.417
O 0.820 0.147 0.588
O 0.828 0.207 0.194
O 0.837 0.988 0.097
O 0.839 0.211 0.917
O 0.839 0.474 0.750
O 0.839 0.658 0.257
O 0.840 0.949 0.690
O 0.845 0.480 0.077
O 0.855 0.467 0.474
O 0.857 0.652 0.857
O 0.857 0.656 0.972
O 0.863 0.635 0.571
O 0.888 0.485 0.362
O 0.963 0.818 0.916
O 0.966 0.814 0.194
O 0.975 0.190 0.690
O 0.986 0.201 0.416

Summary:
energy of formation	-2231	meV/atom
E_tot	-6.46	eV per atom

---

2.
# UPO10

Crystalline UPO10 at its relaxed geometry (GGA-PBE, the Materials Project).

Cell: 7.064 7.064 15.939 Å, 90.00 90.00 90.00°
Sites, in units of the cell vectors:
U 0.250 0.250 0.053
U 0.250 0.250 0.553
U 0.750 0.750 0.447
U 0.750 0.750 0.947
P 0.250 0.750 0.000
P 0.250 0.750 0.500
P 0.750 0.250 0.000
P 0.750 0.250 0.500
O 0.045 0.641 0.227
O 0.045 0.859 0.727
O 0.071 0.727 0.444
O 0.071 0.773 0.944
O 0.141 0.545 0.273
O 0.141 0.955 0.773
O 0.227 0.571 0.056
O 0.227 0.929 0.556
O 0.250 0.250 0.167
O 0.250 0.250 0.438
O 0.250 0.250 0.667
O 0.250 0.250 0.938
O 0.273 0.571 0.556
O 0.273 0.929 0.056
O 0.359 0.545 0.773
O 0.359 0.955 0.273
O 0.429 0.727 0.944
O 0.429 0.773 0.444
O 0.455 0.641 0.727
O 0.455 0.859 0.227
O 0.545 0.141 0.773
O 0.545 0.359 0.273
O 0.571 0.227 0.556
O 0.571 0.273 0.056
O 0.641 0.045 0.727
O 0.641 0.455 0.227
O 0.727 0.071 0.944
O 0.727 0.429 0.444
O 0.750 0.750 0.062
O 0.750 0.750 0.333
O 0.750 0.750 0.562
O 0.750 0.750 0.833
O 0.773 0.071 0.444
O 0.773 0.429 0.944
O 0.859 0.045 0.227
O 0.859 0.455 0.727
O 0.929 0.227 0.056
O 0.929 0.273 0.556
O 0.955 0.141 0.273
O 0.955 0.359 0.773

Summary:
energy of formation	-1731	meV/atom
E_tot	-7.11	eV per atom

---

3.
# Al2P2H4O11

Crystalline Al2P2H4O11 at its relaxed geometry (GGA-PBE, the Materials Project).

Cell: 9.868 19.544 9.876 Å, 90.00 90.00 90.00°
Sites, in units of the cell vectors:
Al 0.149 0.217 0.167
Al 0.149 0.283 0.667
Al 0.177 0.551 0.414
Al 0.177 0.949 0.914
Al 0.323 0.051 0.414
Al 0.323 0.449 0.914
Al 0.351 0.717 0.167
Al 0.351 0.783 0.667
Al 0.649 0.217 0.333
Al 0.649 0.283 0.833
Al 0.677 0.551 0.086
Al 0.677 0.949 0.586
Al 0.823 0.051 0.086
Al 0.823 0.449 0.586
Al 0.851 0.717 0.333
Al 0.851 0.783 0.833
P 0.135 0.051 0.159
P 0.135 0.449 0.659
P 0.160 0.710 0.432
P 0.160 0.790 0.932
P 0.340 0.210 0.432
P 0.340 0.290 0.932
P 0.365 0.551 0.159
P 0.365 0.949 0.659
P 0.635 0.051 0.341
P 0.635 0.449 0.841
P 0.660 0.710 0.068
P 0.660 0.790 0.568
P 0.840 0.210 0.068
P 0.840 0.290 0.568
P 0.865 0.551 0.341
P 0.865 0.949 0.841
H 0.046 0.157 0.686
H 0.046 0.222 0.409
H 0.046 0.278 0.909
H 0.046 0.343 0.186
H 0.063 0.698 0.197
H 0.063 0.802 0.697
H 0.195 0.155 0.755
H 0.195 0.345 0.255
H 0.305 0.655 0.755
H 0.305 0.845 0.255
H 0.437 0.198 0.197
H 0.437 0.302 0.697
H 0.454 0.657 0.686
H 0.454 0.722 0.409
H 0.454 0.778 0.909
H 0.454 0.843 0.186
H 0.546 0.157 0.814
H 0.546 0.222 0.091
H 0.546 0.278 0.591
H 0.546 0.343 0.314
H 0.563 0.698 0.303
H 0.563 0.802 0.803
H 0.695 0.155 0.745
H 0.695 0.345 0.245
H 0.805 0.655 0.745
H 0.805 0.845 0.245
H 0.937 0.198 0.303
H 0.937 0.302 0.803
H 0.954 0.657 0.814
H 0.954 0.722 0.091
H 0.954 0.778 0.591
H 0.954 0.843 0.314
O 0.007 0.727 0.442
O 0.007 0.773 0.942
O 0.020 0.539 0.333
O 0.020 0.961 0.833
O 0.037 0.194 0.326
O 0.037 0.306 0.826
O 0.121 0.185 0.721
O 0.121 0.315 0.221
O 0.140 0.623 0.840
O 0.140 0.877 0.340
O 0.169 0.125 0.122
O 0.169 0.375 0.622
O 0.185 0.635 0.477
O 0.185 0.865 0.977
O 0.194 0.032 0.299
O 0.194 0.468 0.799
O 0.197 0.003 0.053
O 0.197 0.497 0.553
O 0.200 0.718 0.281
O 0.200 0.782 0.781
O 0.242 0.742 0.021
O 0.242 0.758 0.521
O 0.258 0.242 0.021
O 0.258 0.258 0.521
O 0.300 0.218 0.281
O 0.300 0.282 0.781
O 0.303 0.503 0.053
O 0.303 0.997 0.553
O 0.306 0.532 0.299
O 0.306 0.968 0.799
O 0.315 0.135 0.477
O 0.315 0.365 0.977
O 0.331 0.625 0.122
O 0.331 0.875 0.622
O 0.360 0.123 0.840
O 0.360 0.377 0.340
O 0.379 0.685 0.721
O 0.379 0.815 0.221
O 0.463 0.694 0.326
O 0.463 0.806 0.826
O 0.480 0.039 0.333
O 0.480 0.461 0.833
O 0.493 0.227 0.442
O 0.493 0.273 0.942
O 0.507 0.727 0.058
O 0.507 0.773 0.558
O 0.520 0.539 0.167
O 0.520 0.961 0.667
O 0.537 0.194 0.174
O 0.537 0.306 0.674
O 0.621 0.185 0.779
O 0.621 0.315 0.279
O 0.640 0.623 0.660
O 0.640 0.877 0.160
O 0.669 0.125 0.378
O 0.669 0.375 0.878
O 0.685 0.635 0.023
O 0.685 0.865 0.523
O 0.694 0.032 0.201
O 0.694 0.468 0.701
O 0.697 0.003 0.447
O 0.697 0.497 0.947
O 0.700 0.718 0.219
O 0.700 0.782 0.719
O 0.742 0.742 0.479
O 0.742 0.758 0.979
O 0.758 0.242 0.479
O 0.758 0.258 0.979
O 0.800 0.218 0.219
O 0.800 0.282 0.719
O 0.803 0.503 0.447
O 0.803 0.997 0.947
O 0.806 0.532 0.201
O 0.806 0.968 0.701
O 0.815 0.135 0.023
O 0.815 0.365 0.523
O 0.831 0.625 0.378
O 0.831 0.875 0.878
O 0.860 0.123 0.660
O 0.860 0.377 0.160
O 0.879 0.685 0.779
O 0.879 0.815 0.279
O 0.963 0.694 0.174
O 0.963 0.806 0.674
O 0.980 0.039 0.167
O 0.980 0.461 0.667
O 0.993 0.227 0.058
O 0.993 0.273 0.558

Summary:
energy of formation	-2211	meV/atom
E_tot	-6.36	eV per atom

---

Number 1: energy with MP2020 corrections -6.9338 eV per atom, magnetization 0.0 μB/f.u.. Number 2: energy with MP2020 corrections -7.2463 eV per atom, magnetization 3.1 μB/f.u.. Number 3: energy with MP2020 corrections -6.7541 eV per atom, magnetization 0.0 μB/f.u..